(1)
A geometry-optimized Mg6NbC structure. Source: the Materials Project database, functional PBE.

Unit cell a=6.571 b=6.571 c=4.560 alpha=90.00 beta=90.00 gamma=130.07
Fractional coordinates of all 8 atoms:
Mg  0.661  0.834  0.000
Mg  0.308  0.201  0.500
Mg  0.166  0.339  0.000
Mg  0.198  0.802  0.000
Mg  0.799  0.692  0.500
Mg  0.663  0.337  0.000
Nb  0.811  0.189  0.500
C  0.393  0.607  0.500

Space group   No. 38
Mass density   2.76 Mg/m³
M_tot   1.03 μB/cell

***

(2)
A geometry-optimized Mg3InAg4 structure. Source: the Materials Project database, functional PBE.

Unit cell a=8.278 b=8.278 c=8.278 alpha=33.34 beta=33.34 gamma=33.34
Fractional coordinates of all 8 atoms:
In  0.000  0.000  0.000
Ag  0.127  0.127  0.127
Ag  0.624  0.624  0.624
Ag  0.376  0.376  0.376
Ag  0.873  0.873  0.873
Mg  0.500  0.500  0.500
Mg  0.249  0.249  0.249
Mg  0.751  0.751  0.751

Space group   No. 166
Mass density   6.74 Mg/m³

***

(3)
A geometry-optimized Ba2SnS4 structure. Source: the Materials Project database, functional PBE.

Unit cell a=7.518 b=12.821 c=18.075 alpha=90.00 beta=90.00 gamma=90.00
Fractional coordinates of all 56 atoms:
Ba  0.225  0.761  0.555
Ba  0.717  0.001  0.626
Ba  0.783  0.001  0.126
Ba  0.199  0.115  0.812
Ba  0.725  0.261  0.945
Ba  0.699  0.615  0.688
Ba  0.301  0.115  0.312
Ba  0.283  0.501  0.374
Ba  0.775  0.261  0.445
Ba  0.302  0.378  0.125
Ba  0.275  0.761  0.055
Ba  0.198  0.378  0.625
Ba  0.801  0.615  0.188
Ba  0.217  0.501  0.874
Ba  0.698  0.878  0.875
Ba  0.802  0.878  0.375
S  0.634  0.115  0.801
S  0.000  0.909  0.751
S  0.841  0.236  0.615
S  0.146  0.148  0.149
S  0.960  0.483  0.493
S  0.866  0.115  0.301
S  0.461  0.545  0.537
S  0.854  0.648  0.851
S  0.366  0.615  0.199
S  0.040  0.983  0.507
S  0.982  0.325  0.801
S  0.203  0.267  0.457
S  0.797  0.767  0.543
S  0.159  0.736  0.385
S  0.646  0.648  0.351
S  0.460  0.983  0.007
S  0.039  0.545  0.037
S  0.540  0.483  0.993
S  0.482  0.825  0.699
S  0.961  0.045  0.963
S  0.518  0.325  0.301
S  0.341  0.736  0.885
S  0.018  0.825  0.199
S  0.500  0.909  0.251
S  0.500  0.409  0.749
S  0.659  0.236  0.115
S  0.000  0.409  0.249
S  0.354  0.148  0.649
S  0.539  0.045  0.463
S  0.134  0.615  0.699
S  0.703  0.767  0.043
S  0.297  0.267  0.957
Sn  0.729  0.608  0.476
Sn  0.215  0.773  0.766
Sn  0.771  0.608  0.976
Sn  0.271  0.108  0.524
Sn  0.715  0.273  0.734
Sn  0.285  0.773  0.266
Sn  0.229  0.108  0.024
Sn  0.785  0.273  0.234

Space group   No. 33
Mass density   3.98 Mg/m³
M_tot   0.00 μB/cell

***

(4)
A geometry-optimized Mg3Bi structure. Source: the Materials Project database, functional PBE.

Unit cell a=4.629 b=4.629 c=4.629 alpha=90.00 beta=90.00 gamma=90.00
Fractional coordinates of all 4 atoms:
Bi  0.000  0.000  0.000
Mg  0.000  0.500  0.500
Mg  0.500  0.500  0.000
Mg  0.500  0.000  0.500

Space group   No. 221
Mass density   4.72 Mg/m³

***

(5)
A geometry-optimized LiSmSe2 structure. Source: the Materials Project database, functional PBE.

Unit cell a=4.168 b=4.168 c=5.688 alpha=90.00 beta=90.00 gamma=90.00
Fractional coordinates of all 4 atoms:
Li  0.000  0.000  0.000
Sm  0.500  0.500  0.500
Se  0.000  0.000  0.500
Se  0.500  0.500  0.000

Space group   No. 123
Mass density   5.30 Mg/m³
M_tot   0.00 μB/cell

***

(6)
A geometry-optimized Mg14CrGa structure. Source: the Materials Project database, functional PBE.

Unit cell a=6.262 b=6.262 c=10.287 alpha=90.00 beta=90.00 gamma=120.00
Fractional coordinates of all 16 atoms:
Mg  0.837  0.169  0.374
Mg  0.331  0.663  0.876
Mg  0.833  0.667  0.375
Mg  0.331  0.169  0.876
Mg  0.667  0.833  0.625
Mg  0.167  0.834  0.125
Mg  0.666  0.333  0.125
Mg  0.331  0.663  0.374
Mg  0.837  0.169  0.876
Mg  0.667  0.334  0.625
Mg  0.833  0.667  0.875
Mg  0.331  0.169  0.374
Mg  0.166  0.833  0.625
Mg  0.666  0.834  0.125
Ga  0.167  0.333  0.625
Cr  0.167  0.333  0.125

Space group   No. 187
Mass density   2.20 Mg/m³
M_tot   4.64 μB/cell

***

(7)
A geometry-optimized Na14Ca4Mg4Si3S9O48 structure. Source: the Materials Project database, functional PBE.

Unit cell a=18.546 b=9.261 c=22.694 alpha=89.89 beta=89.90 gamma=120.01
Fractional coordinates of all 246 atoms:
Si  0.648  0.301  0.753
Si  0.670  0.986  0.920
Si  0.170  0.352  0.417
Si  0.478  0.333  0.583
Si  0.655  0.000  0.247
Si  0.820  0.976  0.417
Si  0.155  0.309  0.747
Si  0.979  0.622  0.084
Si  0.321  0.666  0.917
Na  0.675  0.009  0.767
Na  0.683  0.344  0.254
Na  0.997  0.993  0.002
Na  0.183  0.023  0.754
Na  0.347  0.002  0.916
Na  0.484  0.307  0.435
Na  0.311  0.625  0.760
Na  0.505  0.354  0.735
Na  0.176  0.329  0.899
Na  0.330  0.352  0.831
Na  0.987  0.287  0.421
Na  0.182  0.366  0.262
Na  0.830  0.955  0.573
Na  0.513  0.665  0.249
Na  0.809  0.997  0.260
Na  0.337  0.643  0.417
Na  0.993  0.623  0.236
Na  0.341  0.996  0.585
Na  0.501  0.001  0.509
Na  0.489  0.691  0.914
Na  0.649  0.967  0.078
Na  0.334  0.707  0.068
Na  0.818  0.324  0.836
Na  0.998  0.004  0.492
Na  0.638  0.329  0.596
Na  0.329  0.328  0.342
Na  0.164  0.653  0.674
Na  0.824  0.301  0.333
Na  0.500  0.995  0.987
Na  0.843  0.689  0.424
Na  0.834  0.030  0.909
Na  0.983  0.658  0.927
Na  0.663  0.677  0.170
Na  0.663  0.286  0.902
Na  0.675  0.025  0.406
Na  0.155  0.655  0.159
Na  0.841  0.683  0.077
Na  0.149  0.332  0.587
Na  0.010  0.360  0.749
Na  0.653  0.627  0.669
Na  0.169  0.040  0.422
Na  0.139  0.945  0.080
S  0.325  0.977  0.417
S  0.831  0.038  0.083
S  0.189  0.042  0.583
S  0.351  0.703  0.250
S  0.010  0.665  0.414
S  0.848  0.698  0.254
S  0.007  0.704  0.758
S  0.145  0.998  0.253
S  0.505  0.308  0.258
S  0.689  0.046  0.580
S  0.481  0.630  0.083
S  0.333  0.037  0.079
S  0.164  0.969  0.915
S  0.508  0.356  0.917
S  0.835  0.630  0.576
S  0.663  0.360  0.413
S  0.827  0.675  0.919
S  0.344  0.996  0.753
S  0.000  0.299  0.251
S  0.496  0.695  0.751
S  0.980  0.331  0.583
S  0.514  0.673  0.410
S  0.690  0.338  0.085
S  0.014  0.355  0.911
S  0.853  0.002  0.751
S  0.190  0.332  0.084
S  0.332  0.625  0.583
O  0.832  0.166  0.422
O  0.567  0.705  0.462
O  0.927  0.516  0.425
O  0.598  0.965  0.188
O  0.594  0.181  0.808
O  0.908  0.804  0.576
O  0.912  0.994  0.408
O  0.255  0.628  0.863
O  0.510  0.227  0.203
O  0.757  0.887  0.361
O  0.911  0.827  0.911
O  0.109  0.187  0.804
O  0.497  0.186  0.910
O  0.330  0.124  0.132
O  0.412  0.833  0.906
O  0.585  0.998  0.913
O  0.766  0.867  0.753
O  0.325  0.524  0.635
O  0.902  0.000  0.803
O  0.755  0.867  0.085
O  0.931  0.343  0.918
O  0.543  0.461  0.864
O  0.254  0.642  0.583
O  0.838  0.543  0.522
O  0.762  0.671  0.262
O  0.734  0.149  0.527
O  0.269  0.892  0.366
O  0.673  0.466  0.361
O  0.988  0.813  0.081
O  0.264  0.674  0.252
O  0.782  0.861  0.476
O  0.248  0.327  0.743
O  0.857  0.167  0.752
O  0.000  0.814  0.407
O  0.067  0.476  0.583
O  0.150  0.439  0.472
O  0.089  0.991  0.910
O  0.235  0.128  0.637
O  0.045  0.633  0.360
O  0.229  0.154  0.254
O  0.655  0.872  0.979
O  0.104  0.022  0.583
O  0.433  0.339  0.256
O  0.378  0.963  0.698
O  0.605  0.188  0.084
O  0.427  0.326  0.523
O  0.257  0.852  0.761
O  0.842  0.531  0.251
O  0.073  0.473  0.254
O  0.346  0.535  0.253
O  0.408  0.990  0.409
O  0.067  0.426  0.964
O  0.442  0.546  0.140
O  0.926  0.530  0.025
O  0.691  0.904  0.863
O  0.405  0.794  0.584
O  0.906  0.016  0.083
O  0.088  0.165  0.410
O  0.191  0.468  0.357
O  0.609  0.031  0.305
O  0.564  0.435  0.968
O  0.502  0.793  0.699
O  0.334  0.146  0.421
O  0.162  0.494  0.754
O  0.757  0.640  0.578
O  0.011  0.218  0.199
O  0.891  0.986  0.695
O  0.174  0.882  0.864
O  0.836  0.524  0.922
O  0.602  0.220  0.690
O  0.427  0.328  0.643
O  0.336  0.133  0.025
O  0.791  0.699  0.975
O  0.567  0.657  0.083
O  0.331  0.498  0.922
O  0.424  0.335  0.927
O  0.583  0.473  0.262
O  0.662  0.830  0.254
O  0.572  0.680  0.755
O  0.835  0.539  0.629
O  0.754  0.176  0.926
O  0.827  0.125  0.137
O  0.605  0.028  0.580
O  0.334  0.541  0.528
O  0.734  0.328  0.032
O  0.284  0.704  0.977
O  0.555  0.649  0.357
O  0.650  0.435  0.467
O  0.102  0.988  0.196
O  0.740  0.346  0.418
O  0.486  0.775  0.805
O  0.589  0.188  0.408
O  0.685  0.495  0.083
O  0.736  0.128  0.635
O  0.501  0.819  0.403
O  0.086  0.698  0.763
O  0.995  0.786  0.810
O  0.339  0.152  0.749
O  0.055  0.463  0.859
O  0.484  0.159  0.579
O  0.237  0.322  0.032
O  0.930  0.526  0.145
O  0.739  0.305  0.757
O  0.748  0.170  0.243
O  0.882  0.796  0.199
O  0.400  0.798  0.302
O  0.770  0.649  0.870
O  0.099  0.230  0.687
O  0.903  0.790  0.304
O  0.287  0.878  0.471
O  0.493  0.201  0.310
O  0.255  0.335  0.426
O  0.683  0.880  0.578
O  0.183  0.485  0.081
O  0.015  0.801  0.704
O  0.068  0.701  0.464
O  0.232  0.138  0.529
O  0.485  0.795  0.079
O  0.097  0.007  0.303
O  0.575  0.489  0.585
O  0.241  0.137  0.920
O  0.150  0.869  0.970
O  0.390  0.789  0.195
O  0.937  0.530  0.754
O  0.653  0.482  0.754
O  0.735  0.345  0.140
O  0.076  0.659  0.085
O  0.184  0.876  0.582
O  0.106  0.179  0.082
O  0.995  0.204  0.305
O  0.940  0.335  0.638
O  0.406  0.012  0.079
O  0.233  0.341  0.140
O  0.154  0.847  0.256
O  0.922  0.309  0.249
O  0.397  0.012  0.805
O  0.432  0.530  0.032
O  0.000  0.182  0.904
O  0.420  0.524  0.748
O  0.834  0.130  0.029
O  0.255  0.870  0.079
O  0.934  0.334  0.530
O  0.984  0.172  0.579
O  0.431  0.520  0.416
Ca  0.164  0.659  0.514
Ca  0.830  0.345  0.690
Ca  0.504  0.010  0.151
Ca  0.501  0.007  0.651
Ca  0.660  0.664  0.516
Ca  0.169  0.662  0.323
Ca  0.997  0.996  0.147
Ca  0.665  0.667  0.013
Ca  0.003  0.995  0.651
Ca  0.669  0.668  0.819
Ca  0.337  0.325  0.187
Ca  0.161  0.654  0.014
Mg  0.336  0.339  0.682
Mg  0.671  0.692  0.319
Mg  0.505  0.996  0.851
Mg  0.508  0.006  0.343
Mg  0.833  0.328  0.180
Mg  0.834  0.334  0.987
Mg  0.334  0.338  0.489
Mg  0.000  0.008  0.354
Mg  0.007  0.010  0.842
Mg  0.835  0.327  0.483
Mg  0.171  0.652  0.818
Mg  0.336  0.344  0.981

Space group   No. 1
Mass density   2.54 Mg/m³
M_tot   0.00 μB/cell

***

(8)
A geometry-optimized NaHg2 structure. Source: the Materials Project database, functional PBE.

Unit cell a=3.349 b=5.203 c=5.203 alpha=120.00 beta=90.00 gamma=90.00
Fractional coordinates of all 3 atoms:
Na  0.000  0.000  0.000
Hg  0.500  0.333  0.667
Hg  0.500  0.667  0.333

Space group   No. 191
Mass density   8.97 Mg/m³

***

(9)
A geometry-optimized InSi7N10 structure. Source: the Materials Project database, functional PBE.

Unit cell a=6.831 b=6.842 c=9.733 alpha=90.00 beta=105.30 gamma=90.00
Fractional coordinates of all 36 atoms:
N  0.885  0.615  0.631
N  0.496  0.538  0.024
N  0.288  0.496  0.224
N  0.288  0.504  0.724
N  0.745  0.157  0.317
N  0.324  0.132  0.368
N  0.496  0.462  0.524
N  0.324  0.868  0.868
N  0.745  0.843  0.817
N  0.699  0.581  0.325
N  0.156  0.838  0.534
N  0.562  0.135  0.973
N  0.448  0.119  0.673
N  0.448  0.881  0.173
N  0.699  0.419  0.825
N  0.885  0.385  0.131
N  0.078  0.429  0.435
N  0.078  0.571  0.935
N  0.562  0.865  0.473
N  0.156  0.162  0.034
Si  0.849  0.382  0.307
Si  0.663  0.366  0.992
Si  0.484  0.631  0.188
Si  0.484  0.369  0.688
Si  0.109  0.400  0.075
Si  0.663  0.634  0.492
Si  0.541  0.978  0.826
Si  0.109  0.600  0.575
Si  0.355  0.022  0.020
Si  0.541  0.022  0.326
Si  0.355  0.978  0.520
Si  0.298  0.618  0.883
Si  0.298  0.382  0.383
Si  0.849  0.618  0.807
In  0.963  0.998  0.673
In  0.963  0.002  0.173

Space group   No. 7
Mass density   3.42 Mg/m³
M_tot   1.92 μB/cell

***

no.,formation energy (eV per atom)
1,0.645
2,-0.199
3,-1.699
4,-0.103
5,-1.833
6,0.050
7,-2.476
8,-0.235
9,-1.059